An optimized crystal structure of Na7Sc2Nb2Si5PO24. Source: the Materials Project database, functional GGA-PBE.

Output
- V (Å³ per cell) = 1642.8
- energy of formation (meV per atom) = -2992
- spin magnetization (μB per atom) = 0.00
- symmetry = P1

Cell: 9.1433 9.1435 22.6856 Å, 90.01 89.93 119.98°
Closest atoms and distances in Å follow each position.
Fractional coordinates of all 123 atoms:
Na 0.3703 0.3621 0.2483  5 O 2.49-2.63
Na 0.3374 0.6625 0.1623  6 O 2.46-2.69
Na 0.7049 0.6752 0.4157  5 O 2.41-2.65
Na 0.6581 0.9618 0.5822  5 O 2.48-2.66
Na 0.9971 0.0029 0.4958  6 O 2.49-2.67
Na 0.9734 0.6762 0.9157  5 O 2.44-2.68
Na 0.3054 0.3410 0.5827  5 O 2.47-2.70
Na 0.3718 0.0107 0.7487  5 O 2.46-2.67
Na 0.0394 0.3434 0.0826  5 O 2.41-2.67
Na 0.3008 0.9635 0.0809  5 O 2.46-2.64
Na 0.6672 0.3270 0.8304  6 O 2.51-2.72
Na 0.3235 0.2945 0.9156  5 O 2.39-2.66
Na 0.6374 0.6285 0.7488  5 O 2.48-2.65
Na 0.3344 0.6668 0.6630  6 O 2.53-2.66
Na 0.9900 0.6282 0.2487  5 O 2.46-2.66
Na 0.9900 0.3603 0.7489  5 O 2.47-2.67
Na 0.9916 0.9978 0.9966  6 O 2.52-2.66
Na 0.0374 0.6962 0.5819  5 O 2.48-2.66
Na 0.6407 0.0095 0.2499  5 O 2.46-2.71
Na 0.6728 0.3327 0.3307  6 O 2.53-2.69
Na 0.3244 0.0278 0.4157  5 O 2.44-2.67
O 0.1569 0.4600 0.9747  1 Si 1.61
O 0.8547 0.3673 0.9234  1 Si 1.67
O 0.9677 0.7916 0.8091  1 Si 1.60
O 0.5055 0.1520 0.9236  1 Si 1.67
O 0.3643 0.8652 0.8593  1 Si 1.70
O 0.5000 0.3648 0.4212  1 P 1.58
O 0.1654 0.9641 0.1930  1 Si 1.69
O 0.3503 0.8534 0.5777  1 Si 1.62
O 0.4987 0.8643 0.3596  1 Si 1.71
O 0.1826 0.1956 0.4110  1 P 1.53
O 0.5206 0.8235 0.7566  1 Si 1.67
O 0.8472 0.4952 0.4226  1 Si 1.67
O 0.1853 0.1585 0.0891  1 Si 1.69
O 0.8362 0.3153 0.2436  1 Si 1.62
O 0.1655 0.2012 0.6927  1 Si 1.70
O 0.9711 0.1573 0.5888  1 Si 1.66
O 0.8297 0.2985 0.5278  1 Si 1.70
O 0.3631 0.4929 0.3619  1 P 1.59
O 0.0258 0.1897 0.9115  1 Si 1.61
O 0.6336 0.5100 0.6418  1 Si 1.61
O 0.7981 0.9643 0.6916  1 Si 1.70
O 0.6979 0.1642 0.0297  1 P 1.60
O 0.1756 0.4788 0.2566  1 Si 1.68
O 0.1347 0.5010 0.8597  1 Si 1.71
O 0.2087 0.1745 0.8083  1 Si 1.60
O 0.8374 0.5199 0.7448  1 Si 1.61
O 0.4683 0.3003 0.0264  1 Si 1.70
O 0.5082 0.6344 0.8610  1 P 1.59
O 0.4799 0.3162 0.7447  1 Si 1.62
O 0.7008 0.5326 0.5257  1 Si 1.69
O 0.1344 0.6362 0.3591  1 Si 1.69
O 0.4903 0.1235 0.6414  1 Si 1.61
O 0.9658 0.1692 0.3053  1 Si 1.60
O 0.1481 0.4957 0.5770  1 Si 1.61
O 0.8782 0.3681 0.6421  1 Si 1.60
O 0.1758 0.6958 0.7562  1 Si 1.68
O 0.8417 0.8127 0.5890  1 Si 1.67
O 0.8310 0.0339 0.8055  1 Si 1.59
O 0.3094 0.4568 0.4727  1 P 1.53
O 0.4838 0.3555 0.1426  1 Si 1.60
O 0.2098 0.0338 0.3090  1 Si 1.60
O 0.5387 0.6909 0.9707  1 P 1.51
O 0.1688 0.9796 0.9115  1 Si 1.62
O 0.1563 0.6970 0.4750  1 Si 1.61
O 0.3433 0.4949 0.0783  1 Si 1.61
O 0.6825 0.1626 0.7445  1 Si 1.62
O 0.8339 0.5286 0.0256  1 Si 1.69
O 0.6300 0.1440 0.4225  1 Si 1.67
O 0.5415 0.8440 0.4750  1 Si 1.61
O 0.9767 0.8174 0.0893  1 Si 1.67
O 0.4814 0.1604 0.2437  1 Si 1.61
O 0.6351 0.4992 0.9224  1 P 1.60
O 0.5192 0.6930 0.2570  1 Si 1.67
O 0.4663 0.1685 0.5255  1 Si 1.68
O 0.1473 0.6531 0.0775  1 Si 1.63
O 0.0351 0.2013 0.1909  1 Si 1.69
O 0.5020 0.6480 0.5774  1 Si 1.62
O 0.8044 0.8157 0.9109  1 P 1.53
O 0.3041 0.8241 0.2561  1 Si 1.68
O 0.3066 0.4809 0.7570  1 Si 1.67
O 0.8103 0.9744 0.4114  1 Si 1.61
O 0.6840 0.5204 0.2444  1 Si 1.62
O 0.8770 0.5083 0.1412  1 Si 1.61
O 0.8345 0.0355 0.0881  1 P 1.56
O 0.8034 0.8391 0.1943  1 Si 1.69
O 0.3039 0.8427 0.9754  1 Si 1.60
O 0.8250 0.7898 0.3087  1 Si 1.61
O 0.0356 0.8341 0.6929  1 Si 1.69
O 0.5094 0.8692 0.0758  1 P 1.52
O 0.0206 0.8324 0.4113  1 Si 1.62
O 0.6375 0.1207 0.1394  1 P 1.53
O 0.1866 0.0287 0.5891  1 Si 1.67
Si 0.3347 0.9599 0.9189  4 O 1.60-1.70
Si 0.2930 0.0019 0.2519  4 O 1.60-1.69
Si 0.6655 0.6246 0.5842  4 O 1.61-1.69
Si 0.7082 0.7076 0.2517  4 O 1.61-1.69
Si 0.0386 0.3707 0.9184  4 O 1.61-1.71
Si 0.2931 0.2923 0.7517  4 O 1.60-1.70
Si 0.7078 0.0006 0.7512  4 O 1.59-1.70
Si 0.9980 0.7073 0.7520  4 O 1.60-1.69
Si 0.9619 0.3341 0.5854  4 O 1.60-1.70
Si 0.3755 0.3378 0.0848  4 O 1.60-1.70
Si 0.0391 0.6659 0.4183  4 O 1.61-1.69
Si 0.3749 0.0412 0.5840  4 O 1.61-1.68
Si 0.9989 0.2907 0.2503  4 O 1.60-1.69
Si 0.6291 0.9612 0.4181  4 O 1.61-1.71
Si 0.9580 0.6267 0.0841  4 O 1.61-1.69
Sc 0.6659 0.3331 0.6844  6 O 2.03-2.14
Sc 0.3345 0.6701 0.5177  6 O 2.01-2.13
Sc 0.3321 0.6629 0.0182  6 O 2.00-2.20
Sc 0.9984 0.0036 0.8518  6 O 1.99-2.20
Sc 0.9962 0.0020 0.3515  6 O 1.98-2.20
Sc 0.6676 0.3387 0.1845  6 O 2.00-2.14
Nb 0.3301 0.6695 0.8141  6 O 1.95-2.10
Nb 0.9995 0.9992 0.6477  6 O 1.97-2.08
Nb 0.6663 0.3302 0.9808  6 O 1.97-2.16
Nb 0.6746 0.3322 0.4810  5 O 1.92-2.05
Nb 0.3299 0.6691 0.3139  6 O 1.95-2.09
Nb 0.0007 0.9963 0.1476  6 O 1.96-2.19
P 0.3323 0.3748 0.4175  4 O 1.53-1.59
P 0.6240 0.6679 0.9175  4 O 1.51-1.60
P 0.6668 0.0414 0.0844  4 O 1.52-1.60



An optimized crystal structure of NaNbSiSnP2O12. Source: the Materials Project database, functional GGA-PBE.

Output
- V (Å³ per cell) = 1544.0
- energy of formation (meV per atom) = -2757
- spin magnetization (μB per atom) = 0.00
- symmetry = Cc

Cell: 8.8223 8.8119 22.9431 Å, 90.16 90.00 120.04°
Closest atoms and distances in Å follow each position.
Fractional coordinates of all 108 atoms:
Na 0.6692 0.3355 0.8322  6 O 2.51-2.67
Na 0.3341 0.6651 0.1654  6 O 2.51-2.66
Na 0.0016 0.0026 0.4988  6 O 2.55-2.67
Na 0.6663 0.3355 0.3322  6 O 2.51-2.67
Na 0.0010 0.0026 0.9988  6 O 2.55-2.67
Na 0.3311 0.6651 0.6654  6 O 2.51-2.66
P 0.6642 0.6208 0.5834  4 O 1.53-1.56
P 0.6223 0.6690 0.9164  4 O 1.53-1.57
P 0.6220 0.9533 0.4171  4 O 1.53-1.56
P 0.0468 0.6690 0.4164  4 O 1.53-1.57
P 0.9566 0.6208 0.0834  4 O 1.53-1.56
P 0.6645 0.0444 0.0833  4 O 1.53-1.56
P 0.2899 0.0006 0.2500  4 O 1.53-1.56
P 0.2907 0.2872 0.7498  4 O 1.52-1.56
P 0.3800 0.0444 0.5833  4 O 1.53-1.56
P 0.7107 0.0006 0.7500  4 O 1.53-1.56
P 0.3313 0.9533 0.9171  4 O 1.53-1.56
P 0.9965 0.2872 0.2498  4 O 1.52-1.56
O 0.1721 0.9703 0.1954  1 P 1.56
O 0.8356 0.3082 0.2421  1 P 1.53
O 0.6300 0.5102 0.6381  1 P 1.53
O 0.4987 0.1375 0.9238  1 P 1.56
O 0.4879 0.1227 0.6387  1 P 1.53
O 0.8803 0.5102 0.1381  1 P 1.53
O 0.5029 0.8618 0.0758  1 P 1.53
O 0.3589 0.8618 0.5758  1 P 1.53
O 0.8318 0.8047 0.5906  1 P 1.56
O 0.1298 0.6361 0.3620  1 P 1.55
O 0.5289 0.8338 0.7572  1 P 1.55
O 0.1369 0.5016 0.8594  1 Si 1.67
O 0.5076 0.3574 0.4248  1 Si 1.65
O 0.8391 0.5362 0.0289  1 P 1.56
O 0.9663 0.1789 0.3047  1 P 1.52
O 0.9729 0.8047 0.0906  1 P 1.56
O 0.8226 0.0357 0.8046  1 P 1.53
O 0.4726 0.3082 0.7421  1 P 1.53
O 0.6404 0.5020 0.9243  1 P 1.57
O 0.2126 0.1789 0.8047  1 P 1.52
O 0.8617 0.5020 0.4243  1 P 1.57
O 0.4741 0.1603 0.2432  1 P 1.54
O 0.8309 0.0267 0.0905  1 P 1.56
O 0.8309 0.3012 0.5259  1 Si 1.66
O 0.1411 0.6479 0.0765  1 P 1.53
O 0.1562 0.7029 0.4716  1 P 1.53
O 0.4941 0.3675 0.1404  1 Si 1.60
O 0.3655 0.8703 0.8622  1 P 1.56
O 0.6895 0.5161 0.2445  1 Si 1.61
O 0.8038 0.8360 0.1927  1 Si 1.65
O 0.1832 0.1587 0.0917  1 Si 1.66
O 0.7982 0.9703 0.6954  1 P 1.56
O 0.6971 0.5362 0.5289  1 P 1.56
O 0.1726 0.2045 0.6952  1 P 1.56
O 0.6389 0.1375 0.4238  1 P 1.56
O 0.0323 0.8360 0.6927  1 Si 1.65
O 0.8066 0.8286 0.9105  1 P 1.53
O 0.3018 0.8448 0.9721  1 P 1.53
O 0.5430 0.8448 0.4721  1 P 1.53
O 0.9755 0.1587 0.5917  1 Si 1.66
O 0.3049 0.8338 0.2572  1 P 1.55
O 0.2130 0.0357 0.3046  1 P 1.53
O 0.1715 0.9765 0.9102  1 P 1.53
O 0.3102 0.4726 0.7573  1 P 1.56
O 0.0319 0.2045 0.1952  1 P 1.56
O 0.6862 0.1603 0.7432  1 P 1.54
O 0.5048 0.8703 0.3622  1 P 1.56
O 0.8266 0.5161 0.7445  1 Si 1.61
O 0.5189 0.6943 0.2579  1 Si 1.67
O 0.1625 0.4726 0.2573  1 P 1.56
O 0.8049 0.9765 0.4102  1 P 1.53
O 0.0220 0.8286 0.4105  1 P 1.53
O 0.1605 0.4589 0.9736  1 Si 1.59
O 0.8734 0.3675 0.6404  1 Si 1.60
O 0.1754 0.6943 0.7579  1 Si 1.67
O 0.5063 0.6361 0.8620  1 P 1.55
O 0.3563 0.5076 0.0776  1 Si 1.62
O 0.1513 0.5076 0.5776  1 Si 1.62
O 0.9662 0.7945 0.8079  1 Si 1.60
O 0.2983 0.4589 0.4736  1 Si 1.59
O 0.6348 0.1227 0.1387  1 P 1.53
O 0.6982 0.1613 0.0286  1 P 1.56
O 0.8499 0.3574 0.9248  1 Si 1.65
O 0.4632 0.1613 0.5286  1 P 1.56
O 0.4703 0.3012 0.0259  1 Si 1.66
O 0.5068 0.6479 0.5765  1 P 1.53
O 0.3647 0.5016 0.3594  1 Si 1.67
O 0.8283 0.7945 0.3079  1 Si 1.60
O 0.0211 0.1808 0.9091  1 Si 1.61
O 0.1958 0.0267 0.5905  1 P 1.56
O 0.1597 0.1808 0.4091  1 Si 1.61
O 0.5467 0.7029 0.9716  1 P 1.53
Sn 0.6646 0.3359 0.1858  6 O 1.96-2.09
Sn 0.9988 0.9991 0.8524  6 O 1.96-2.10
Sn 0.0003 0.9991 0.3524  6 O 1.96-2.10
Sn 0.6713 0.3359 0.6858  6 O 1.96-2.09
Sn 0.3299 0.6624 0.5191  6 O 1.97-2.09
Sn 0.3325 0.6624 0.0191  6 O 1.97-2.09
Nb 0.9993 0.9995 0.1453  6 O 1.94-2.05
Nb 0.3242 0.6630 0.8119  6 O 1.90-2.09
Nb 0.6684 0.3330 0.4785  6 O 1.93-2.04
Nb 0.6645 0.3330 0.9785  6 O 1.93-2.04
Nb 0.0003 0.9995 0.6453  6 O 1.94-2.05
Nb 0.3387 0.6630 0.3119  6 O 1.90-2.09
Si 0.9589 0.3366 0.5834  4 O 1.60-1.66
Si 0.0430 0.3729 0.9170  4 O 1.59-1.67
Si 0.7144 0.7097 0.2502  4 O 1.60-1.67
Si 0.9953 0.7097 0.7502  4 O 1.60-1.67
Si 0.3777 0.3366 0.0834  4 O 1.60-1.66
Si 0.3299 0.3729 0.4170  4 O 1.59-1.67